The following is a PBE with a Hubbard U calculation of a relaxed Li9Mn2Co5O16 crystal, from Materials Project.

Geometry as CIF:
```
data_Li9Mn2Co5O16
_chemical_formula_sum 'Li18 Mn4 Co10 O32'
_symmetry_space_group_name_H-M 'C 1 m 1'
_symmetry_Int_Tables_number 8
_cell_length_a 10.195
_cell_length_b 5.837
_cell_length_c 9.853
_cell_angle_alpha 90.00
_cell_angle_beta 99.67
_cell_angle_gamma 90.00
loop_
_symmetry_equiv_pos_as_xyz
'x,y,z'
'x,-y,z'
'x+1/2,y+1/2,z'
'x+1/2,-y+1/2,z'
loop_
_atom_site_label
_atom_site_fract_x
_atom_site_fract_y
_atom_site_fract_z
Li1 0.000 0.000 0.000
Li2 0.003 0.245 0.524
Li3 0.123 0.000 0.765
Li4 0.242 0.246 0.006
Li5 0.243 0.000 0.529
Li6 0.250 0.500 0.526
Li7 0.497 0.000 0.006
Mn1 0.123 0.500 0.765
Mn2 0.372 0.000 0.265
Co1 0.122 0.250 0.265
Co2 0.372 0.250 0.765
Co3 0.372 0.500 0.264
O1 0.047 0.500 0.377
O2 0.059 0.265 0.878
O3 0.066 0.000 0.379
O4 0.179 0.500 0.154
O5 0.186 0.266 0.651
O6 0.196 0.000 0.151
O7 0.299 0.500 0.882
O8 0.314 0.240 0.378
O9 0.318 0.000 0.875
O10 0.427 0.500 0.654
O11 0.431 0.240 0.152
O12 0.447 0.000 0.649
```

Output
Excess energy over the best structure of this formula in the dataset   0.044 eV per atom
V   578.0 Å³/cell
Formation energy   -58.24 eV per formula unit
DFT total energy   -5.81 eV/atom
Total energy after the MP2020 corrections   -6.51 eV per atom